# 1
{"formula": "RbLi7Ni2O6", "functional": "GGA+U", "state": "optimized geometry", "space_group": "C2/m, No. 12", "total_magnetization_mub_per_cell": 4.00, "lattice_angstrom": [[-0.424, -0.709, 5.302], [2.762, 0.961, 4.498], [-4.383, 8.970, 1.257]], "species": ["O", "O", "O", "O", "O", "O", "Rb", "Li", "Li", "Li", "Li", "Li", "Li", "Li", "Ni", "Ni"], "frac_coords": [[0.303, 0.303, 0.893], [0.697, 0.697, 0.107], [0.671, 0.671, 0.411], [0.605, 0.605, 0.740], [0.329, 0.329, 0.589], [0.395, 0.395, 0.260], [0.000, 0.000, 0.000], [0.169, 0.169, 0.730], [0.500, 0.500, 0.500], [0.269, 0.269, 0.100], [0.246, 0.246, 0.415], [0.754, 0.754, 0.585], [0.831, 0.831, 0.270], [0.731, 0.731, 0.900], [0.579, 0.579, 0.253], [0.421, 0.421, 0.747]]}



# 2
{"formula": "Li4Nb3V3Sb2O16", "functional": "GGA+U", "state": "optimized geometry", "space_group": "Cm, No. 8", "total_magnetization_mub_per_cell": 8.00, "lattice_angstrom": [[2.034, -5.781, -0.129], [4.211, -1.874, 4.041], [-7.669, -2.931, 6.751]], "species": ["V", "V", "V", "O", "O", "O", "O", "O", "O", "O", "O", "O", "O", "O", "O", "O", "O", "O", "O", "Nb", "Nb", "Nb", "Li", "Li", "Li", "Li", "Sb", "Sb"], "frac_coords": [[0.340, 0.826, 0.785], [0.170, 0.170, 0.289], [0.826, 0.340, 0.785], [0.317, 0.829, 0.396], [0.010, 0.510, 0.177], [0.157, 0.157, 0.888], [0.845, 0.845, 0.397], [0.985, 0.515, 0.680], [0.491, 0.491, 0.167], [0.510, 0.010, 0.177], [0.513, 0.513, 0.685], [0.689, 0.157, 0.896], [0.995, 0.995, 0.688], [0.998, 0.998, 0.189], [0.157, 0.689, 0.896], [0.338, 0.338, 0.404], [0.676, 0.676, 0.893], [0.829, 0.317, 0.396], [0.515, 0.985, 0.680], [0.644, 0.170, 0.279], [0.825, 0.825, 0.774], [0.170, 0.644, 0.279], [0.004, 0.004, 0.008], [0.002, 0.002, 0.506], [0.667, 0.667, 0.098], [0.339, 0.339, 0.608], [0.659, 0.659, 0.489], [0.330, 0.330, 0.983]]}



# 3
{"formula": "MnAl2O4", "functional": "GGA+U", "state": "optimized geometry", "space_group": "Fd-3m, No. 227", "lattice_angstrom": [[0.000, -3.391, 4.796], [5.873, 0.000, 0.000], [2.937, 5.086, 0.000]], "species": ["O", "O", "O", "O", "O", "O", "O", "O", "Al", "Al", "Al", "Al", "Mn", "Mn"], "frac_coords": [[0.575, 0.142, 0.717], [0.608, 0.175, 0.217], [0.175, 0.608, 0.783], [0.142, 0.575, 0.283], [0.142, 0.142, 0.283], [0.608, 0.608, 0.217], [0.142, 0.142, 0.717], [0.608, 0.608, 0.783], [0.375, 0.375, 0.250], [0.875, 0.375, 0.250], [0.375, 0.375, 0.750], [0.375, 0.875, 0.750], [0.750, 0.750, 0.500], [0.000, 0.000, 0.000]]}



# 4
{"formula": "Ba2LaVO6", "functional": "GGA+U", "state": "optimized geometry", "space_group": "Fm-3m, No. 225", "total_magnetization_mub_per_cell": 0.00, "lattice_angstrom": [[-2.219, 0.666, -5.589], [-5.244, 2.896, -0.847], [-0.053, 5.461, -2.603]], "species": ["O", "O", "O", "O", "O", "O", "V", "Ba", "Ba", "La"], "frac_coords": [[0.724, 0.724, 0.276], [0.276, 0.724, 0.276], [0.724, 0.276, 0.276], [0.724, 0.276, 0.724], [0.276, 0.276, 0.724], [0.276, 0.724, 0.724], [0.500, 0.500, 0.500], [0.750, 0.750, 0.750], [0.250, 0.250, 0.250], [0.000, 0.000, 0.000]]}



# 5
{"formula": "Li2TiVO4", "functional": "GGA+U", "state": "optimized geometry", "total_magnetization_mub_per_cell": 0.00, "lattice_angstrom": [[3.500, 1.272, 4.686], [0.334, -5.830, 1.327], [6.833, -0.726, -4.907]], "species": ["V", "V", "V", "V", "Li", "Li", "Li", "Li", "Li", "Li", "Li", "Li", "O", "O", "O", "O", "O", "O", "O", "O", "O", "O", "O", "O", "O", "O", "O", "O", "Ti", "Ti", "Ti", "Ti"], "frac_coords": [[0.250, 0.250, 0.750], [0.750, 0.750, 0.250], [0.750, 0.250, 0.250], [0.250, 0.750, 0.750], [0.500, 0.500, 0.000], [0.000, 0.000, 0.500], [0.750, 0.250, 0.750], [0.750, 0.750, 0.750], [0.500, 0.000, 0.500], [0.250, 0.250, 0.250], [0.250, 0.750, 0.250], [0.000, 0.500, 0.000], [0.750, 0.270, 0.500], [0.750, 0.770, 0.000], [0.501, 0.000, 0.235], [0.999, 0.000, 0.235], [0.750, 0.730, 0.500], [0.250, 0.730, 0.500], [0.001, 0.500, 0.735], [0.250, 0.230, 0.000], [0.250, 0.270, 0.500], [0.501, 0.500, 0.265], [0.001, 0.000, 0.765], [0.999, 0.500, 0.265], [0.499, 0.000, 0.765], [0.250, 0.770, 0.000], [0.750, 0.230, 0.000], [0.499, 0.500, 0.735], [0.500, 0.500, 0.500], [0.000, 0.000, 0.000], [0.500, 0.000, 0.000], [0.000, 0.500, 0.500]]}



# 6
{"formula": "CrP2O8", "functional": "GGA+U", "state": "optimized geometry", "space_group": "P2_1/c, No. 14", "total_magnetization_mub_per_cell": 0.00, "lattice_angstrom": [[-8.471, 0.872, 2.743], [-1.229, -3.829, -2.577], [2.512, -9.232, 10.692]], "species": ["O", "O", "O", "O", "O", "O", "O", "O", "O", "O", "O", "O", "O", "O", "O", "O", "O", "O", "O", "O", "O", "O", "O", "O", "O", "O", "O", "O", "O", "O", "O", "O", "Cr", "Cr", "Cr", "Cr", "P", "P", "P", "P", "P", "P", "P", "P"], "frac_coords": [[0.053, 0.474, 0.914], [0.218, 0.365, 0.133], [0.045, 0.048, 0.806], [0.955, 0.952, 0.194], [0.736, 0.226, 0.251], [0.545, 0.952, 0.694], [0.836, 0.103, 0.937], [0.764, 0.226, 0.751], [0.553, 0.526, 0.586], [0.581, 0.998, 0.869], [0.503, 0.588, 0.234], [0.666, 0.739, 0.021], [0.419, 0.002, 0.131], [0.081, 0.002, 0.631], [0.497, 0.412, 0.766], [0.997, 0.588, 0.734], [0.166, 0.261, 0.479], [0.334, 0.261, 0.979], [0.282, 0.365, 0.633], [0.447, 0.474, 0.414], [0.782, 0.635, 0.867], [0.834, 0.739, 0.521], [0.164, 0.897, 0.063], [0.664, 0.103, 0.437], [0.947, 0.526, 0.086], [0.718, 0.635, 0.367], [0.336, 0.897, 0.563], [0.455, 0.048, 0.306], [0.919, 0.998, 0.369], [0.236, 0.774, 0.249], [0.003, 0.412, 0.266], [0.264, 0.774, 0.749], [0.433, 0.638, 0.656], [0.567, 0.362, 0.344], [0.933, 0.362, 0.844], [0.067, 0.638, 0.156], [0.600, 0.151, 0.765], [0.278, 0.134, 0.072], [0.900, 0.151, 0.265], [0.400, 0.849, 0.235], [0.722, 0.866, 0.928], [0.100, 0.849, 0.735], [0.222, 0.134, 0.572], [0.778, 0.866, 0.428]]}



Record-wise electronic total energy values, in eV for the cell shown: -73.31; -205.91; -106.73; -72.65; -232.59; -302.86
Record-wise volume values, in Å³/atom: 11.7; 12.3; 10.2; 15.7; 9.5; 13.9